# 1
{
  "formula": "Ba4LiBi3O12",
  "functional": "PBE",
  "state": "relaxed",
  "lattice_angstrom": [[-4.319, 4.319, 4.319], [4.319, -4.319, 4.319], [4.319, 4.319, -4.319]],
  "species": ["Ba", "Ba", "Ba", "Ba", "Li", "Bi", "Bi", "Bi", "O", "O", "O", "O", "O", "O", "O", "O", "O", "O", "O", "O"],
  "frac_coords": [[0.000, 0.000, 0.500], [0.000, 0.500, 0.000], [0.500, 0.000, 0.000], [0.500, 0.500, 0.500], [0.000, 0.000, 0.000], [0.000, 0.500, 0.500], [0.500, 0.000, 0.500], [0.500, 0.500, 0.000], [0.000, 0.261, 0.261], [0.000, 0.739, 0.739], [0.250, 0.500, 0.750], [0.250, 0.750, 0.500], [0.261, 0.000, 0.261], [0.261, 0.261, 0.000], [0.500, 0.250, 0.750], [0.500, 0.750, 0.250], [0.739, 0.000, 0.739], [0.739, 0.739, 0.000], [0.750, 0.250, 0.500], [0.750, 0.500, 0.250]],
  "magnetic_moment_mub_per_fu": 0.0
}

# 2
{
  "formula": "MgTe2Mo2WSe2S2",
  "functional": "PBE",
  "state": "relaxed",
  "lattice_angstrom": [[2.913, -1.682, 0.000], [2.913, 1.682, 0.000], [-0.083, 0.000, 35.291]],
  "species": ["Mg", "Te", "Te", "Mo", "Mo", "W", "Se", "Se", "S", "S"],
  "frac_coords": [[0.000, 0.000, 0.000], [0.329, 0.329, 0.303], [0.331, 0.331, 0.410], [0.330, 0.330, 0.129], [0.997, 0.997, 0.887], [0.996, 0.996, 0.356], [0.996, 0.996, 0.082], [0.998, 0.998, 0.176], [0.330, 0.330, 0.845], [0.331, 0.331, 0.931]],
  "magnetic_moment_mub_per_fu": 0.0,
  "de_polymorph_ev_per_atom": 0.005
}

# 3
{
  "formula": "Nd4Te7",
  "functional": "PBE",
  "state": "relaxed",
  "lattice_angstrom": [[4.578, 0.000, 0.000], [0.000, 4.578, 0.000], [0.000, 0.000, 17.619]],
  "species": ["Nd", "Nd", "Nd", "Nd", "Te", "Te", "Te", "Te", "Te", "Te", "Te"],
  "frac_coords": [[0.000, 0.000, 0.000], [0.000, 0.000, 0.494], [0.500, 0.500, 0.231], [0.500, 0.500, 0.730], [0.000, 0.000, 0.185], [0.000, 0.000, 0.670], [0.000, 0.500, 0.373], [0.000, 0.500, 0.862], [0.500, 0.000, 0.373], [0.500, 0.000, 0.862], [0.500, 0.500, 0.048]],
  "magnetic_moment_mub_per_fu": 0.2
}

# 4
{
  "formula": "AsXe2OF10",
  "functional": "PBE",
  "state": "relaxed",
  "lattice_angstrom": [[-4.434, 4.434, 6.192], [4.434, -4.434, 6.192], [4.434, 4.434, -6.192]],
  "species": ["As", "As", "Xe", "Xe", "Xe", "Xe", "O", "O", "F", "F", "F", "F", "F", "F", "F", "F", "F", "F", "F", "F", "F", "F", "F", "F", "F", "F", "F", "F"],
  "frac_coords": [[0.000, 0.000, 0.000], [0.500, 0.500, 0.000], [0.000, 0.000, 0.500], [0.000, 0.500, 0.000], [0.500, 0.000, 0.000], [0.500, 0.500, 0.500], [0.000, 0.500, 0.500], [0.500, 0.000, 0.500], [0.046, 0.768, 0.500], [0.095, 0.823, 0.919], [0.143, 0.143, 0.000], [0.177, 0.095, 0.272], [0.232, 0.732, 0.278], [0.268, 0.546, 0.500], [0.323, 0.595, 0.919], [0.357, 0.357, 0.000], [0.405, 0.323, 0.728], [0.454, 0.954, 0.722], [0.546, 0.046, 0.278], [0.595, 0.677, 0.272], [0.643, 0.643, 0.000], [0.677, 0.405, 0.081], [0.732, 0.454, 0.500], [0.768, 0.268, 0.722], [0.823, 0.905, 0.728], [0.857, 0.857, 0.000], [0.905, 0.177, 0.081], [0.954, 0.232, 0.500]],
  "magnetic_moment_mub_per_fu": 3.0
}

# 5
{
  "formula": "Ba11In6O3",
  "functional": "PBE",
  "state": "relaxed",
  "lattice_angstrom": [[-7.827, 7.827, 5.633], [7.827, -7.827, 5.633], [7.827, 7.827, -5.633]],
  "species": ["Ba", "Ba", "Ba", "Ba", "Ba", "Ba", "Ba", "Ba", "Ba", "Ba", "Ba", "Ba", "Ba", "Ba", "Ba", "Ba", "Ba", "Ba", "Ba", "Ba", "Ba", "Ba", "In", "In", "In", "In", "In", "In", "In", "In", "In", "In", "In", "In", "O", "O", "O", "O", "O", "O"],
  "frac_coords": [[0.000, 0.000, 0.000], [0.077, 0.577, 0.250], [0.124, 0.124, 0.747], [0.124, 0.376, 0.000], [0.173, 0.923, 0.500], [0.230, 0.270, 0.500], [0.270, 0.770, 0.040], [0.327, 0.827, 0.750], [0.376, 0.124, 0.000], [0.376, 0.376, 0.253], [0.423, 0.673, 0.500], [0.500, 0.500, 0.000], [0.577, 0.327, 0.500], [0.624, 0.624, 0.747], [0.624, 0.876, 0.000], [0.673, 0.173, 0.250], [0.730, 0.230, 0.960], [0.770, 0.730, 0.500], [0.827, 0.077, 0.500], [0.876, 0.624, 0.000], [0.876, 0.876, 0.253], [0.923, 0.423, 0.750], [0.001, 0.243, 0.244], [0.066, 0.434, 0.500], [0.243, 0.999, 0.242], [0.257, 0.499, 0.756], [0.434, 0.934, 0.369], [0.499, 0.743, 0.242], [0.501, 0.257, 0.758], [0.566, 0.066, 0.631], [0.743, 0.501, 0.244], [0.757, 0.001, 0.758], [0.934, 0.566, 0.500], [0.999, 0.757, 0.756], [0.000, 0.000, 0.500], [0.000, 0.500, 0.000], [0.250, 0.250, 0.000], [0.500, 0.000, 0.000], [0.500, 0.500, 0.500], [0.750, 0.750, 0.000]]
}

# 6
{
  "formula": "NaHg3",
  "functional": "PBE",
  "state": "relaxed",
  "lattice_angstrom": [[6.673, 0.000, 0.000], [-3.337, 5.779, 0.000], [0.000, 0.000, 5.508]],
  "species": ["Na", "Na", "Hg", "Hg", "Hg", "Hg", "Hg", "Hg"],
  "frac_coords": [[0.333, 0.667, 0.250], [0.667, 0.333, 0.750], [0.167, 0.334, 0.750], [0.167, 0.833, 0.750], [0.334, 0.167, 0.250], [0.666, 0.833, 0.750], [0.833, 0.167, 0.250], [0.833, 0.666, 0.250]]
}

no.,energy of formation (meV per atom)
1,-2196
2,-505
3,-1369
4,-1286
5,-1119
6,-194